Entry 1:
DFT (PBE-GGA) results for a relaxed BiSI crystal.

Values from the calculation:
**Raw total energy**: -43.0 eV/cell

Structure (extended XYZ):
```
12
Lattice="4.208 0.000 0.000 0.000 8.887 0.000 0.000 0.000 11.071" Properties=species:S:1:pos:R:3 pbc="T T T"
I 1.052 8.699 3.509
I 1.052 4.255 2.027
I 3.156 0.188 7.563
I 3.156 4.632 9.044
S 1.052 1.438 10.683
S 3.156 7.449 0.389
S 3.156 3.006 5.147
S 1.052 5.881 5.924
Bi 3.156 5.420 4.164
Bi 1.052 7.910 9.700
Bi 3.156 0.977 1.371
Bi 1.052 3.467 6.907
```


Entry 2:
DFT (PBE-GGA) results for a relaxed AlHO2 crystal.

Values from the calculation:
**Raw total energy**: -52.1 eV/cell
**Total magnetization**: 0.0 μB per formula unit

Structure (extended XYZ):
```
8
Lattice="-2.656 -0.634 0.860 1.527 -2.965 2.530 0.374 3.173 3.493" Properties=species:S:1:pos:R:3 pbc="T T T"
Al 0.000 0.000 0.000
Al -0.378 -0.213 3.442
H -0.564 -1.799 1.695
H 0.187 1.587 1.747
O -0.610 1.622 4.076
O 0.498 0.417 1.844
O 1.403 -0.209 4.179
O -0.145 -2.048 2.807
```


Entry 3:
DFT (PBE-GGA) results for a relaxed Na9CaNb5Si9O36 crystal.

Values from the calculation:
**Raw total energy**: -1774.9 eV/cell
**Total magnetization**: 0.0 μB per formula unit

Structure (extended XYZ):
```
240
Lattice="-1.561 1.327 -15.761 0.126 -27.353 -2.313 -6.913 -0.552 5.923" Properties=species:S:1:pos:R:3 pbc="T T T"
O -6.487 -13.598 -10.112
O -6.245 -20.488 -9.286
O -2.140 -24.242 -4.333
O -2.069 -17.390 -5.474
O -3.008 -8.617 0.689
O -2.653 -18.980 -11.778
O -3.803 -21.625 0.648
O -2.515 -14.324 -9.111
O -1.963 -16.258 -15.938
O -6.155 -9.407 -6.674
O -6.044 -2.790 -5.065
O -7.818 -20.433 -11.447
O -5.317 0.609 -11.124
O -3.798 -3.368 -6.783
O -4.481 -5.088 -13.131
O -2.983 -9.902 -11.057
O -5.412 -8.849 -12.135
O -3.017 -24.139 -1.735
O -0.492 -14.967 -1.262
O -6.099 -2.892 -2.467
O -2.955 -17.708 -0.059
O -2.264 -26.368 -6.229
O -5.255 -2.633 -10.168
O -6.205 -11.403 -8.581
O -1.772 -10.429 -0.774
O -5.569 -12.226 -0.429
O -1.895 -5.078 -13.515
O -2.185 -5.347 -5.664
O -2.039 -1.524 -2.798
O -4.406 -23.334 -14.630
O -7.024 -16.543 -3.195
O -5.624 -21.388 -1.219
O -2.904 -26.852 -0.791
O -5.312 -23.747 0.050
O -1.869 -12.856 -1.974
O -2.602 -7.706 -9.484
O -2.567 -5.147 -8.343
O -1.724 -19.486 -1.619
O -6.633 -22.765 -10.729
O -1.336 -0.627 -7.986
O -6.666 -25.065 -12.247
O -5.762 -3.169 0.295
O -2.815 -5.440 -11.006
O -5.362 -25.743 -1.857
O -5.819 -21.282 -3.974
O -1.052 -19.418 -6.791
O -1.123 -10.313 -6.022
O -1.108 -0.887 -5.235
O -5.318 -11.526 -11.185
O -3.860 -9.800 -8.459
O -1.277 -9.933 -8.960
O -4.657 -25.375 -7.281
O -6.685 -4.565 -9.189
O -3.946 -3.363 2.198
O -6.024 -11.930 -5.853
O -3.861 -18.915 -9.296
O -2.704 -0.755 -10.241
O -7.041 -25.686 -3.964
O -2.094 -8.233 -4.710
O -1.971 -19.780 -4.282
O -3.143 -5.902 -0.259
O -7.126 -14.072 -4.670
O -5.841 -18.905 -2.464
O -3.961 -0.658 -7.771
O -1.133 -12.490 -7.715
O -6.335 -2.240 -7.743
O -6.113 -18.513 -7.479
O -2.560 -16.777 -10.215
O -6.286 -25.239 -9.466
O -5.290 -17.624 -12.630
O -5.879 -21.123 -6.587
O -3.117 -14.998 -1.047
O -0.527 -6.047 -0.538
O -4.573 -4.611 -3.593
O -1.840 -23.326 -15.059
O -7.306 -16.593 -6.132
O -5.180 -26.270 0.872
O -2.587 -25.869 -11.011
O -1.851 -25.503 -16.752
O -2.756 -14.537 -11.835
O -5.222 -14.523 0.825
O -5.162 -8.110 2.450
O -5.395 -5.500 1.557
O -7.884 -11.346 -10.688
O -5.527 -7.475 -0.249
O -7.243 -4.923 -3.916
O -3.637 -19.427 -6.407
O -5.200 -17.130 1.659
O -3.748 -12.512 -7.515
O -7.266 -25.691 -6.881
O -6.400 -19.263 2.808
O -6.588 -3.580 2.905
O -3.939 -12.362 1.755
O -6.662 -6.942 -10.698
O -2.903 -18.360 -14.701
O -1.935 -5.967 -2.741
O -1.759 -22.045 -2.759
O -2.913 -3.050 -12.199
O -7.194 -23.163 -5.433
O -7.100 -7.420 -2.410
O -1.946 -7.373 -15.076
O -5.185 -20.881 -11.726
O -1.798 -1.311 -0.075
O -3.108 -12.028 -12.953
O -1.102 -21.713 -8.352
O -2.157 -14.506 -6.461
O -6.549 -12.678 2.156
O -5.770 -0.585 -1.075
O -1.245 -3.245 -6.901
O -6.065 -0.183 -5.899
O -6.476 -10.151 3.603
O -6.467 -7.048 -7.943
O -6.409 -1.060 4.367
O -0.434 -24.273 -2.236
O -2.382 -23.765 -7.159
O -4.474 -25.866 -4.461
O -6.816 -15.905 -11.504
O -7.235 -7.436 -5.315
O -2.019 -10.655 -3.526
O -4.647 -7.285 -6.076
O -2.811 -21.246 -13.747
O -1.860 -15.095 -3.517
O -6.391 -21.776 1.409
O -1.826 -13.900 -14.272
O -3.701 -1.185 -4.859
O -3.688 -10.321 -5.593
O -4.418 -14.198 -13.895
O -4.468 -7.868 -2.689
O -2.737 -23.668 -12.563
O -4.411 -16.973 -3.444
O -2.489 -23.442 -9.810
O -5.916 -9.752 -1.693
O -3.726 -21.630 -8.348
O -7.868 -2.203 -9.919
O -1.842 -3.764 -1.179
O -3.226 -9.425 -13.883
O -3.001 -0.166 -13.185
O -5.949 -12.052 -3.211
O -4.663 -16.376 -6.839
O -6.480 -16.182 -8.742
O -5.491 -16.579 -1.019
O -4.473 -13.731 -4.400
O -1.244 -19.060 -9.575
O -4.568 -23.189 -5.411
Na -2.314 -8.233 -1.989
Na -8.018 -10.929 -6.850
Na -2.729 -16.753 -12.985
Na -3.837 -11.314 -1.931
Na -5.205 -14.388 -2.163
Na -3.247 -11.660 -15.326
Na -6.502 -22.587 -13.306
Na -3.083 -3.090 -9.597
Na -4.555 -24.326 -10.968
Na -3.032 -21.245 -11.026
Na -2.006 -12.839 -4.798
Na -2.557 -16.784 -7.740
Na -4.619 -6.241 -9.394
Na -5.952 -18.283 -10.406
Na -7.175 -25.268 -0.126
Na -3.401 -2.444 -14.464
Na -5.234 -5.270 -1.370
Na -1.752 -21.979 -0.280
Na -2.403 -25.999 -8.602
Na -0.426 -15.744 -5.316
Na -2.595 -7.640 -7.004
Na -2.011 -3.740 -3.949
Na -0.443 -6.597 -4.521
Na -1.161 -19.610 -13.557
Na -1.270 -1.404 -12.041
Na -5.987 -0.598 -3.518
Na -2.240 -17.430 -2.873
Na -2.724 -25.852 -13.834
Na -6.049 -0.048 -8.888
Na -3.803 -2.116 -1.086
Na -6.613 -4.377 -11.734
Na -5.784 -9.574 -4.270
Na -5.144 -14.938 3.206
Na -5.770 -18.717 -5.010
Na -4.521 -15.129 -10.122
Na -3.775 -20.581 -2.670
Ca -3.579 -15.647 -5.058
Ca -4.423 -1.307 -11.783
Ca -3.626 -6.510 -4.278
Ca -4.344 -19.523 -13.315
Si -2.186 -18.967 -5.701
Si -5.861 -22.175 -5.329
Si -1.603 -18.717 -0.175
Si -5.388 -3.840 1.758
Si -2.703 -0.174 -8.760
Si -6.705 -7.835 -12.053
Si -5.616 -26.299 -3.354
Si -6.450 -21.139 -10.783
Si -2.692 -9.348 -9.534
Si -6.088 -7.759 -6.527
Si -6.574 -25.978 -13.633
Si -5.319 -12.891 1.042
Si -2.427 -22.646 -8.355
Si -1.848 -23.688 -2.810
Si -5.118 -18.202 2.917
Si -2.249 -9.799 -4.936
Si -1.866 -5.415 -1.244
Si -6.037 -25.904 -7.995
Si -1.709 -9.633 0.681
Si -6.106 -16.853 -7.279
Si -2.967 -22.812 -13.972
Si -2.309 -0.639 -4.141
Si -3.027 -13.652 -13.178
Si -5.962 -3.862 -3.807
Si -5.733 -8.126 -1.747
Si -3.029 -4.627 -12.425
Si -6.460 -11.959 -10.078
Si -1.707 -0.495 1.354
Si -5.857 -12.965 -4.596
Si -2.425 -13.508 -7.683
Si -5.244 -22.099 0.197
Si -2.447 -4.377 -6.899
Si -1.859 -14.514 -2.036
Si -2.583 -18.428 -10.281
Si -5.668 -17.280 -2.511
Si -6.511 -2.940 -9.235
Nb -1.330 -6.084 -9.793
Nb -4.045 -16.164 0.352
Nb -7.072 -2.201 -0.865
Nb -4.889 -1.825 -6.372
Nb -3.988 -25.262 -0.440
Nb -4.832 -10.922 -7.165
Nb -6.986 -20.591 -2.383
Nb -4.090 -7.026 1.148
Nb -7.052 -11.395 -1.674
Nb -7.829 -6.251 -9.107
Nb -0.553 -2.117 -1.443
Nb -1.271 -15.130 -10.480
Nb -1.284 -24.274 -11.254
Nb -3.487 -24.754 -5.730
Nb -4.331 -10.415 -12.455
Nb -7.790 -15.214 -9.902
Nb -0.486 -20.424 -3.069
Nb -0.566 -11.261 -2.218
Nb -4.807 -20.039 -7.889
Nb -7.770 -24.408 -10.711
```


Entry 4:
DFT (PBE-GGA) results for a relaxed RbCuPO4 crystal.

Values from the calculation:
**Raw total energy**: -170.1 eV/cell
**Total magnetization**: 1.0 μB per formula unit

Structure (extended XYZ):
```
28
Lattice="5.313 0.000 0.000 0.000 9.064 0.000 0.000 0.000 9.381" Properties=species:S:1:pos:R:3 pbc="T T T"
P 2.757 8.235 2.897
P 0.101 0.829 6.484
P 0.101 3.703 1.793
P 2.757 5.361 7.588
Cu 0.157 3.757 7.804
Cu 2.814 5.307 1.578
Cu 2.814 8.289 6.268
Cu 0.157 0.775 3.113
O 4.006 3.975 2.409
O 3.475 6.507 6.854
O 1.349 8.507 2.282
O 3.575 0.478 2.712
O 0.918 8.586 6.670
O 0.818 1.975 7.218
O 2.620 7.822 4.381
O 5.276 3.290 0.310
O 0.918 5.009 1.979
O 2.620 5.773 9.072
O 5.276 1.242 5.000
O 3.575 4.054 7.403
O 0.818 2.557 2.528
O 1.349 5.089 6.972
O 3.475 7.088 2.163
O 4.006 0.557 7.100
Rb 0.053 7.296 9.266
Rb 0.053 6.300 4.576
Rb 2.710 2.764 4.806
Rb 2.710 1.768 0.115
```


Entry 5:
DFT (PBE-GGA) results for a relaxed RbCdB3O6 crystal.

Values from the calculation:
**Raw total energy**: -302.5 eV/cell
**Total magnetization**: 0.0 μB per formula unit

Structure (extended XYZ):
```
44
Lattice="7.177 0.000 -2.090 3.589 -6.745 -1.045 -0.167 0.000 -13.104" Properties=species:S:1:pos:R:3 pbc="T T T"
B 5.367 -0.773 -13.046
B 7.153 -2.401 -9.827
B 5.232 -5.972 -3.193
B 3.647 -4.343 -2.230
B 8.806 -3.570 -7.039
B 5.135 -3.175 -12.546
B 1.792 -3.175 -9.200
B 5.464 -3.570 -3.693
B 3.446 -4.343 -6.411
B 9.039 -5.972 -7.539
B 6.951 -2.401 -14.008
B 1.560 -0.773 -8.700
Cd 4.693 -4.337 -9.559
Cd 2.234 -4.337 -12.187
Cd 5.906 -2.408 -6.680
Cd 8.364 -2.408 -4.052
O 4.466 -4.195 -11.978
O 4.751 -1.836 -12.352
O 2.967 -5.662 -6.271
O 2.176 -1.836 -9.394
O 4.553 -4.119 -7.141
O 6.132 -2.550 -4.261
O 4.126 -5.662 -2.371
O 6.473 -1.082 -13.868
O 2.752 -3.316 -5.759
O 6.258 -3.429 -13.356
O 2.461 -4.195 -9.768
O 8.138 -2.550 -6.471
O 5.641 -6.287 -9.862
O 7.631 -1.082 -9.968
O 2.136 -0.458 -2.265
O 8.423 -4.908 -6.845
O 5.848 -4.908 -3.887
O 2.541 -4.119 -1.501
O 4.958 -0.458 -6.377
O 4.341 -3.316 -2.883
O 8.058 -2.626 -14.738
O 7.847 -3.429 -10.480
O 8.463 -6.287 -13.974
O 6.046 -2.626 -9.098
Rb 8.429 -6.648 -10.732
Rb 5.675 -6.648 -13.104
Rb 2.170 -0.097 -5.507
Rb 4.924 -0.097 -3.135
```


Entry 6:
DFT (PBE-GGA) results for a relaxed Pb5F8 crystal.

Values from the calculation:
**Raw total energy**: -120.0 eV/cell
**Total magnetization**: 0.6 μB per formula unit

Structure (extended XYZ):
```
26
Lattice="2.091 10.799 0.000 -2.091 10.799 0.000 0.000 3.480 11.579" Properties=species:S:1:pos:R:3 pbc="T T T"
F 0.000 4.132 6.680
F 0.000 8.199 5.572
F 0.000 5.059 9.567
F 0.000 20.946 4.786
F 0.000 20.008 2.018
F 0.000 7.204 2.682
F 0.000 13.901 10.027
F 0.000 21.732 7.466
F 0.000 16.268 3.421
F 0.000 9.062 8.471
F 0.000 17.812 8.973
F 0.000 9.867 11.385
F 0.000 2.135 0.922
F 0.000 12.985 7.366
F 0.000 3.632 3.632
F 0.000 11.054 1.267
Pb 0.000 5.794 4.736
Pb 0.000 11.469 9.273
Pb 0.000 9.693 3.404
Pb 0.000 24.998 11.549
Pb 0.000 13.713 2.321
Pb 0.000 7.427 10.642
Pb 0.000 17.367 1.186
Pb 0.000 15.364 8.116
Pb 0.000 19.438 7.048
Pb 0.000 1.732 5.550
```


ΔE_f
In order: -0.696; -2.602; -2.952; -2.140; -2.555; -2.294
Unit: eV/atom
E (MP2020)
In order: -11.64; -27.44; -468.47; -45.27; -79.74; -63.70
Unit: eV/f.u.